# 1
# Sr2SmNbO6 | Materials Project | PBE | optimized geometry
# **Formation energy**: -3.426 eV/atom
# **Spin magnetization**: 0.000 μB/atom
data_Sr2SmNbO6
_chemical_formula_sum 'Sr4 Sm2 Nb2 O12'
_cell_length_a 5.894
_cell_length_b 6.036
_cell_length_c 10.249
_cell_angle_alpha 90.00
_cell_angle_beta 124.84
_cell_angle_gamma 90.00
_symmetry_space_group_name_H-M 'P 1'
_symmetry_Int_Tables_number 1
_symmetry_space_group_name_Hall 'P 1'
loop_
_atom_site_label
_atom_site_type_symbol
_atom_site_fract_x
_atom_site_fract_y
_atom_site_fract_z
Sr1 Sr 0.240 0.044 0.251
Sr2 Sr 0.240 0.456 0.751
Sr3 Sr 0.760 0.544 0.249
Sr4 Sr 0.760 0.956 0.749
Sm1 Sm 0.500 0.000 0.000
Sm2 Sm 0.500 0.500 0.500
Nb1 Nb 0.000 0.000 0.500
Nb2 Nb 0.000 0.500 0.000
O1 O 0.134 0.224 0.947
O2 O 0.134 0.276 0.447
O3 O 0.231 0.690 0.954
O4 O 0.231 0.810 0.454
O5 O 0.323 0.033 0.732
O6 O 0.323 0.467 0.232
O7 O 0.677 0.533 0.768
O8 O 0.677 0.967 0.268
O9 O 0.769 0.190 0.546
O10 O 0.769 0.310 0.046
O11 O 0.866 0.724 0.553
O12 O 0.866 0.776 0.053


# 2
# CsEr13Co2I24 | Materials Project | PBE | optimized geometry
# **Formation energy**: -1.446 eV/atom
# **Spin magnetization**: 0.020 μB/atom
data_CsEr13Co2I24
_chemical_formula_sum 'Cs4 Er52 Co8 I96'
_cell_length_a 18.399
_cell_length_b 18.399
_cell_length_c 18.399
_cell_angle_alpha 90.00
_cell_angle_beta 90.00
_cell_angle_gamma 90.00
_symmetry_space_group_name_H-M 'P 1'
_symmetry_Int_Tables_number 1
_symmetry_space_group_name_Hall 'P 1'
loop_
_atom_site_label
_atom_site_type_symbol
_atom_site_fract_x
_atom_site_fract_y
_atom_site_fract_z
Cs1 Cs 0.000 0.000 0.000
Cs2 Cs 0.000 0.500 0.500
Cs3 Cs 0.500 0.000 0.500
Cs4 Cs 0.500 0.500 0.000
Er1 Er 0.000 0.000 0.500
Er2 Er 0.000 0.500 0.000
Er3 Er 0.028 0.672 0.829
Er4 Er 0.028 0.828 0.329
Er5 Er 0.169 0.689 0.330
Er6 Er 0.169 0.811 0.830
Er7 Er 0.170 0.669 0.689
Er8 Er 0.170 0.831 0.189
Er9 Er 0.171 0.528 0.828
Er10 Er 0.171 0.972 0.328
Er11 Er 0.172 0.671 0.972
Er12 Er 0.172 0.829 0.472
Er13 Er 0.189 0.170 0.831
Er14 Er 0.189 0.330 0.331
Er15 Er 0.311 0.670 0.831
Er16 Er 0.311 0.830 0.331
Er17 Er 0.328 0.171 0.972
Er18 Er 0.328 0.329 0.472
Er19 Er 0.329 0.028 0.828
Er20 Er 0.329 0.472 0.328
Er21 Er 0.330 0.169 0.689
Er22 Er 0.330 0.331 0.189
Er23 Er 0.331 0.189 0.330
Er24 Er 0.331 0.311 0.830
Er25 Er 0.472 0.172 0.829
Er26 Er 0.472 0.328 0.329
Er27 Er 0.500 0.000 0.000
Er28 Er 0.500 0.500 0.500
Er29 Er 0.528 0.672 0.671
Er30 Er 0.528 0.828 0.171
Er31 Er 0.669 0.689 0.170
Er32 Er 0.669 0.811 0.670
Er33 Er 0.670 0.669 0.811
Er34 Er 0.670 0.831 0.311
Er35 Er 0.671 0.528 0.672
Er36 Er 0.671 0.972 0.172
Er37 Er 0.672 0.671 0.528
Er38 Er 0.672 0.829 0.028
Er39 Er 0.689 0.170 0.669
Er40 Er 0.689 0.330 0.169
Er41 Er 0.811 0.670 0.669
Er42 Er 0.811 0.830 0.169
Er43 Er 0.828 0.171 0.528
Er44 Er 0.828 0.329 0.028
Er45 Er 0.829 0.028 0.672
Er46 Er 0.829 0.472 0.172
Er47 Er 0.830 0.169 0.811
Er48 Er 0.830 0.331 0.311
Er49 Er 0.831 0.189 0.170
Er50 Er 0.831 0.311 0.670
Er51 Er 0.972 0.172 0.671
Er52 Er 0.972 0.328 0.171
Co1 Co 0.170 0.670 0.830
Co2 Co 0.170 0.830 0.330
Co3 Co 0.330 0.170 0.830
Co4 Co 0.330 0.330 0.330
Co5 Co 0.670 0.670 0.670
Co6 Co 0.670 0.830 0.170
Co7 Co 0.830 0.170 0.670
Co8 Co 0.830 0.330 0.170
I1 I 0.001 0.502 0.836
I2 I 0.001 0.998 0.336
I3 I 0.002 0.664 0.999
I4 I 0.002 0.836 0.499
I5 I 0.003 0.167 0.834
I6 I 0.003 0.333 0.334
I7 I 0.005 0.665 0.336
I8 I 0.005 0.835 0.836
I9 I 0.159 0.169 0.668
I10 I 0.159 0.331 0.168
I11 I 0.164 0.501 0.998
I12 I 0.164 0.505 0.665
I13 I 0.164 0.995 0.165
I14 I 0.164 0.999 0.498
I15 I 0.165 0.164 0.995
I16 I 0.165 0.336 0.495
I17 I 0.166 0.503 0.333
I18 I 0.166 0.997 0.833
I19 I 0.167 0.666 0.503
I20 I 0.167 0.834 0.003
I21 I 0.168 0.159 0.331
I22 I 0.168 0.341 0.831
I23 I 0.169 0.668 0.159
I24 I 0.169 0.832 0.659
I25 I 0.331 0.168 0.159
I26 I 0.331 0.332 0.659
I27 I 0.332 0.659 0.331
I28 I 0.332 0.841 0.831
I29 I 0.333 0.166 0.503
I30 I 0.333 0.334 0.003
I31 I 0.334 0.003 0.333
I32 I 0.334 0.497 0.833
I33 I 0.335 0.664 0.995
I34 I 0.335 0.836 0.495
I35 I 0.336 0.001 0.998
I36 I 0.336 0.005 0.665
I37 I 0.336 0.495 0.165
I38 I 0.336 0.499 0.498
I39 I 0.341 0.669 0.668
I40 I 0.341 0.831 0.168
I41 I 0.495 0.165 0.336
I42 I 0.495 0.335 0.836
I43 I 0.497 0.667 0.834
I44 I 0.497 0.833 0.334
I45 I 0.498 0.164 0.999
I46 I 0.498 0.336 0.499
I47 I 0.499 0.002 0.836
I48 I 0.499 0.498 0.336
I49 I 0.501 0.502 0.664
I50 I 0.501 0.998 0.164
I51 I 0.502 0.664 0.501
I52 I 0.502 0.836 0.001
I53 I 0.503 0.167 0.666
I54 I 0.503 0.333 0.166
I55 I 0.505 0.665 0.164
I56 I 0.505 0.835 0.664
I57 I 0.659 0.169 0.832
I58 I 0.659 0.331 0.332
I59 I 0.664 0.501 0.502
I60 I 0.664 0.505 0.835
I61 I 0.664 0.995 0.335
I62 I 0.664 0.999 0.002
I63 I 0.665 0.164 0.505
I64 I 0.665 0.336 0.005
I65 I 0.666 0.503 0.167
I66 I 0.666 0.997 0.667
I67 I 0.667 0.666 0.997
I68 I 0.667 0.834 0.497
I69 I 0.668 0.159 0.169
I70 I 0.668 0.341 0.669
I71 I 0.669 0.668 0.341
I72 I 0.669 0.832 0.841
I73 I 0.831 0.168 0.341
I74 I 0.831 0.332 0.841
I75 I 0.832 0.659 0.169
I76 I 0.832 0.841 0.669
I77 I 0.833 0.166 0.997
I78 I 0.833 0.334 0.497
I79 I 0.834 0.003 0.167
I80 I 0.834 0.497 0.667
I81 I 0.835 0.664 0.505
I82 I 0.835 0.836 0.005
I83 I 0.836 0.001 0.502
I84 I 0.836 0.005 0.835
I85 I 0.836 0.495 0.335
I86 I 0.836 0.499 0.002
I87 I 0.841 0.669 0.832
I88 I 0.841 0.831 0.332
I89 I 0.995 0.165 0.164
I90 I 0.995 0.335 0.664
I91 I 0.997 0.667 0.666
I92 I 0.997 0.833 0.166
I93 I 0.998 0.164 0.501
I94 I 0.998 0.336 0.001
I95 I 0.999 0.002 0.664
I96 I 0.999 0.498 0.164


# 3
# SmHg2 | Materials Project | PBE | optimized geometry
# **Formation energy**: -0.391 eV/atom
data_SmHg2
_chemical_formula_sum 'Sm1 Hg2'
_cell_length_a 4.701
_cell_length_b 4.701
_cell_length_c 3.933
_cell_angle_alpha 101.09
_cell_angle_beta 101.09
_cell_angle_gamma 71.04
_symmetry_space_group_name_H-M 'P 1'
_symmetry_Int_Tables_number 1
_symmetry_space_group_name_Hall 'P 1'
loop_
_atom_site_label
_atom_site_type_symbol
_atom_site_fract_x
_atom_site_fract_y
_atom_site_fract_z
Sm1 Sm 0.000 0.000 0.000
Hg1 Hg 0.337 0.337 0.647
Hg2 Hg 0.663 0.663 0.353


# 4
# K2TeH6O6F2 | Materials Project | PBE | optimized geometry
# **Formation energy**: -1.599 eV/atom
# **Spin magnetization**: 0.000 μB/atom
data_K2TeH6O6F2
_chemical_formula_sum 'K8 Te4 H24 O24 F8'
_cell_length_a 8.313
_cell_length_b 11.166
_cell_length_c 10.035
_cell_angle_alpha 90.00
_cell_angle_beta 90.00
_cell_angle_gamma 90.00
_symmetry_space_group_name_H-M 'P 1'
_symmetry_Int_Tables_number 1
_symmetry_space_group_name_Hall 'P 1'
loop_
_atom_site_label
_atom_site_type_symbol
_atom_site_fract_x
_atom_site_fract_y
_atom_site_fract_z
K1 K 0.213 0.244 0.239
K2 K 0.213 0.256 0.739
K3 K 0.287 0.744 0.239
K4 K 0.287 0.756 0.739
K5 K 0.713 0.244 0.261
K6 K 0.713 0.256 0.761
K7 K 0.787 0.744 0.261
K8 K 0.787 0.756 0.761
Te1 Te 0.000 0.000 0.500
Te2 Te 0.000 0.500 0.000
Te3 Te 0.500 0.000 0.000
Te4 Te 0.500 0.500 0.500
H1 H 0.040 0.564 0.771
H2 H 0.040 0.936 0.271
H3 H 0.152 0.009 0.946
H4 H 0.152 0.491 0.446
H5 H 0.238 0.004 0.114
H6 H 0.238 0.496 0.614
H7 H 0.262 0.504 0.114
H8 H 0.262 0.996 0.614
H9 H 0.348 0.509 0.946
H10 H 0.348 0.991 0.446
H11 H 0.460 0.064 0.771
H12 H 0.460 0.436 0.271
H13 H 0.540 0.564 0.729
H14 H 0.540 0.936 0.229
H15 H 0.652 0.009 0.554
H16 H 0.652 0.491 0.054
H17 H 0.738 0.004 0.386
H18 H 0.738 0.496 0.886
H19 H 0.762 0.504 0.386
H20 H 0.762 0.996 0.886
H21 H 0.848 0.509 0.554
H22 H 0.848 0.991 0.054
H23 H 0.960 0.064 0.729
H24 H 0.960 0.436 0.229
O1 O 0.020 0.622 0.124
O2 O 0.020 0.878 0.624
O3 O 0.064 0.612 0.853
O4 O 0.064 0.888 0.353
O5 O 0.243 0.042 0.534
O6 O 0.243 0.458 0.034
O7 O 0.257 0.542 0.534
O8 O 0.257 0.958 0.034
O9 O 0.436 0.112 0.853
O10 O 0.436 0.388 0.353
O11 O 0.480 0.122 0.124
O12 O 0.480 0.378 0.624
O13 O 0.520 0.622 0.376
O14 O 0.520 0.878 0.876
O15 O 0.564 0.612 0.647
O16 O 0.564 0.888 0.147
O17 O 0.743 0.042 0.966
O18 O 0.743 0.458 0.466
O19 O 0.757 0.542 0.966
O20 O 0.757 0.958 0.466
O21 O 0.936 0.112 0.647
O22 O 0.936 0.388 0.147
O23 O 0.980 0.122 0.376
O24 O 0.980 0.378 0.876
F1 F 0.074 0.051 0.879
F2 F 0.074 0.449 0.379
F3 F 0.426 0.551 0.879
F4 F 0.426 0.949 0.379
F5 F 0.574 0.051 0.621
F6 F 0.574 0.449 0.121
F7 F 0.926 0.551 0.621
F8 F 0.926 0.949 0.121


Number 1: density 5.71 Mg/m³, electronic total energy -156.06 eV for the cell shown. Number 2: density 5.83 Mg/m³, electronic total energy -639.26 eV for the cell shown. Number 3: density 11.47 Mg/m³, electronic total energy -6.50 eV for the cell shown. Number 4: density 2.47 Mg/m³, electronic total energy -325.47 eV for the cell shown.